[1]
Na4MgC6S6N6 | the Materials Project | PBE-GGA | relaxed; energy relative to the elements = -558.7 meV per atom
1.0
8.7465 0.0000 0.0000
-4.3732 7.5746 0.0000
0.0000 0.0000 14.0848
Na Mg C S N
8 2 12 12 12
Cartesian
0.0000 0.0000 0.0000
0.0000 0.0000 7.0424
0.0000 5.0498 0.3546
0.0000 5.0498 6.6878
0.0000 5.0498 10.5636
4.3732 2.5249 3.5212
4.3732 2.5249 7.3970
4.3732 2.5249 13.7302
0.0000 5.0498 3.5212
4.3732 2.5249 10.5636
-1.4902 2.6004 12.1738
-2.8663 4.9839 8.9534
1.4902 2.6004 8.9534
-1.3761 7.5650 12.1738
2.9971 0.0096 5.1314
1.5069 2.5908 1.9110
2.8663 4.9839 12.1738
1.3761 7.5650 8.9534
5.7493 0.0096 1.9110
2.8830 4.9742 5.1314
7.2395 2.5908 5.1314
5.8635 4.9742 1.9110
-0.0915 2.6759 8.5620
-2.1016 6.1575 12.5652
0.0915 2.6759 12.5652
-2.0101 6.3159 8.5620
2.3631 1.2587 1.5196
2.2716 1.4172 5.5228
2.1016 6.1575 8.5620
2.0101 6.3159 12.5652
6.3833 1.2587 5.5228
4.2817 4.8988 1.5196
6.4748 1.4172 1.5196
4.4647 4.8988 5.5228
-0.8948 3.5591 4.8294
-1.7384 5.0202 2.2130
0.8948 3.5591 2.2130
-0.8436 6.5701 4.8294
3.5297 1.0046 11.8718
2.6348 2.5545 9.2554
1.7384 5.0202 4.8294
0.8436 6.5701 2.2130
5.2168 1.0046 9.2554
3.4784 4.0156 11.8718
6.1116 2.5545 11.8718
5.2681 4.0156 9.2554


[2]
MgC2S2N6O14 | the Materials Project | PBE-GGA | relaxed; spin magnetization = 40.00 μB per cell; energy relative to the elements = 395.4 meV per atom
1.0
9.7779 0.0000 0.0000
0.0000 7.3454 0.0000
-2.3071 0.0000 11.8931
Mg C S N O
2 4 4 12 28
Cartesian
0.0000 0.0000 0.0000
-1.1536 3.6727 5.9465
1.8362 0.3835 8.7290
2.9898 3.2892 2.7825
4.4811 4.0562 9.1106
5.6346 6.9619 3.1641
0.3560 4.1731 10.4537
1.5095 6.8450 4.5071
5.9613 0.5004 7.3859
7.1148 3.1723 1.4394
1.7450 1.4837 7.9493
2.8986 2.1890 2.0027
1.6618 0.4752 10.0745
2.8153 3.1975 4.1280
3.2718 4.4838 2.2161
2.1183 6.5343 8.1626
5.3526 0.8111 3.7304
4.1990 2.8616 9.6770
4.6555 4.1479 7.7651
5.8091 6.8702 1.8186
4.5723 5.1564 9.8903
5.7258 5.8617 3.9438
-2.0477 5.3189 11.8231
-0.8941 5.6991 5.8766
-0.2181 4.3102 4.1971
-1.3717 6.7079 10.1436
-1.0824 4.6244 10.0533
0.0712 6.3937 4.1068
0.8555 4.4115 6.1110
2.0091 6.6066 0.1644
1.3938 0.7859 5.1686
0.2402 2.8868 11.1152
1.1598 4.1320 9.2158
2.3134 6.8861 3.2692
0.9986 5.2370 11.3119
2.1522 5.7811 5.3654
5.3186 1.5643 6.5277
6.4722 2.1084 0.5812
5.1574 0.4593 8.6238
6.3110 3.2134 2.6773
7.2306 4.4586 0.7779
6.0770 6.5595 6.7244
5.4617 0.7388 11.7286
6.6153 2.9339 5.7821
7.3997 0.9517 7.7862
8.5532 2.7210 1.8397
8.8425 0.6375 1.7495
7.6889 3.0352 7.6960
8.3650 1.6463 6.0165
9.5185 2.0264 0.0699


[3]
NaMgPC2O6 | the Materials Project | PBE-GGA | relaxed; spin magnetization = 0.00 μB per cell; energy relative to the elements = -2114.0 meV per atom
1.0
9.7151 0.0000 0.0000
0.0000 11.7334 0.0000
0.0000 0.0000 10.1165
Na Mg P C O
8 8 8 16 48
Cartesian
0.7619 0.7592 1.1548
0.7619 5.1075 6.2130
4.0957 6.6259 1.1548
4.0957 10.9742 6.2130
5.6194 0.7592 3.9035
5.6194 5.1075 8.9617
8.9532 6.6259 3.9035
8.9532 10.9742 8.9617
0.8355 1.2732 6.9635
0.8355 4.5935 1.9053
4.0220 7.1400 6.9635
4.0220 10.4602 1.9053
5.6931 1.2732 8.2112
5.6931 4.5935 3.1530
8.8796 7.1400 8.2112
8.8796 10.4602 3.1530
2.0727 0.4275 4.1039
2.0727 5.4393 9.1622
2.7849 6.2942 4.1039
2.7849 11.3060 9.1622
6.9302 0.4275 0.9543
6.9302 5.4393 6.0126
7.6424 6.2942 0.9543
7.6424 11.3060 6.0126
0.5147 2.8957 4.2809
0.5147 2.9710 9.3392
1.6860 2.1591 3.5810
1.6860 3.7077 8.6392
3.1716 8.0258 3.5810
3.1716 9.5744 8.6392
4.3429 8.7624 4.2809
4.3429 8.8377 9.3392
5.3722 2.8957 0.7773
5.3722 2.9710 5.8356
6.5435 2.1591 1.4773
6.5435 3.7077 6.5355
8.0291 8.0258 1.4773
8.0291 9.5744 6.5355
9.2004 8.7624 0.7773
9.2004 8.8377 5.8356
0.1254 8.0477 6.5740
0.1254 9.5525 1.5157
0.3374 2.7346 5.5300
0.3374 3.1321 0.4717
0.8575 6.0549 8.4641
0.8575 11.5452 3.4059
1.4401 0.0194 8.5823
1.4401 5.8473 3.5241
2.0715 0.3572 5.6305
2.0715 5.5095 0.5722
2.1600 2.7036 2.5772
2.1600 3.1632 7.6355
2.6975 8.5703 2.5772
2.6975 9.0299 7.6355
2.7861 6.2239 5.6305
2.7861 11.3762 0.5722
3.4175 5.8861 8.5823
3.4175 11.7140 3.5241
4.0000 0.1882 8.4641
4.0000 5.6785 3.4059
4.5202 8.6013 5.5300
4.5202 8.9988 0.4717
4.7322 2.1809 6.5740
4.7322 3.6858 1.5157
4.9829 8.0477 8.6008
4.9829 9.5525 3.5425
5.1949 2.7346 9.6448
5.1949 3.1321 4.5865
5.7151 6.0549 6.7106
5.7151 11.5452 1.6524
6.2976 0.0194 6.5924
6.2976 5.8473 1.5342
6.9290 0.3572 9.5443
6.9290 5.5095 4.4860
7.0176 2.7036 2.4810
7.0176 3.1632 7.5393
7.5551 8.5703 2.4810
7.5551 9.0299 7.5393
7.6436 6.2239 9.5443
7.6436 11.3762 4.4860
8.2750 5.8861 6.5924
8.2750 11.7140 1.5342
8.8576 0.1882 6.7106
8.8576 5.6785 1.6524
9.3777 8.6013 9.6448
9.3777 8.9988 4.5865
9.5897 2.1809 8.6008
9.5897 3.6858 3.5425


[4]
Na6Mg2C4SO16 | the Materials Project | PBE-GGA | relaxed; energy relative to the elements = -2255.8 meV per atom
1.0
0.0000 7.0284 7.0284
7.0284 0.0000 7.0284
7.0284 7.0284 0.0000
Na Mg C S O
12 4 8 2 32
Cartesian
5.2713 5.2713 1.3080
5.2713 1.3080 5.2713
9.2345 5.2713 5.2713
8.7855 8.7855 4.8222
8.7855 4.8222 8.7855
12.7487 8.7855 8.7855
1.3080 5.2713 5.2713
5.2713 9.2345 5.2713
5.2713 5.2713 9.2345
4.8222 8.7855 8.7855
8.7855 12.7487 8.7855
8.7855 8.7855 12.7487
7.0284 3.5142 3.5142
3.5142 7.0284 3.5142
3.5142 3.5142 7.0284
7.0284 7.0284 7.0284
3.9678 3.9678 3.9678
6.5747 6.5747 3.9678
6.5747 3.9678 6.5747
10.0889 7.4820 7.4820
3.9678 6.5747 6.5747
7.4820 10.0889 7.4820
7.4820 7.4820 10.0889
10.0889 10.0889 10.0889
1.7571 1.7571 1.7571
12.2996 12.2996 12.2996
0.8920 0.8920 0.8920
2.6222 2.6222 0.8920
2.6222 0.8920 2.6222
6.7888 5.5783 3.1621
4.9642 3.1621 3.7538
7.3804 3.7538 5.5784
0.8920 2.6222 2.6222
3.7538 4.9642 3.1621
7.3804 6.7888 4.9642
5.5783 3.1621 6.7888
10.3030 8.4784 6.6763
9.0925 6.6763 7.2679
10.8946 7.2679 8.4784
5.5783 7.3804 3.7538
3.1621 3.7538 4.9642
6.7888 4.9642 7.3804
7.2679 9.0925 6.6763
10.8946 10.3030 9.0925
8.4784 6.6763 10.3030
3.1621 6.7888 5.5783
4.9642 7.3804 6.7888
3.7538 5.5783 7.3804
8.4784 10.8946 7.2679
6.6763 7.2679 9.0925
10.3030 9.0925 10.8946
13.1648 11.4345 11.4345
6.6763 10.3030 8.4784
9.0925 10.8946 10.3030
7.2679 8.4784 10.8946
11.4345 13.1648 11.4345
11.4345 11.4345 13.1648
13.1648 13.1648 13.1648


[5]
Na6Mg2C4SO16 | the Materials Project | PBE-GGA | relaxed; energy relative to the elements = -2231.8 meV per atom
1.0
0.0000 7.1134 7.1134
7.1134 0.0000 7.1134
7.1134 7.1134 0.0000
Na Mg C S O
12 4 8 2 32
Cartesian
5.3350 5.3350 1.3919
5.3350 1.3919 5.3350
9.2782 5.3350 5.3350
8.8917 8.8917 4.9486
8.8917 4.9486 8.8917
12.8349 8.8917 8.8917
1.3919 5.3350 5.3350
5.3350 9.2782 5.3350
5.3350 5.3350 9.2782
4.9486 8.8917 8.8917
8.8917 12.8349 8.8917
8.8917 8.8917 12.8349
7.1134 3.5567 3.5567
3.5567 7.1134 3.5567
3.5567 3.5567 7.1134
7.1134 7.1134 7.1134
4.0010 4.0010 4.0010
6.6691 6.6691 4.0010
6.6691 4.0010 6.6691
10.2258 7.5577 7.5577
4.0010 6.6691 6.6691
7.5577 10.2258 7.5577
7.5577 7.5577 10.2258
10.2258 10.2258 10.2258
1.7783 1.7783 1.7783
12.4484 12.4484 12.4484
0.9116 0.9116 0.9116
2.6451 2.6451 0.9116
2.6451 0.9116 2.6451
5.0473 3.4620 3.4620
7.2080 5.6227 3.4620
7.2080 3.4620 5.6227
0.9116 2.6451 2.6451
9.1794 7.0187 7.0187
10.7647 8.6040 7.0187
10.7647 7.0187 8.6040
3.4620 5.0473 3.4620
5.6227 7.2080 3.4620
3.4620 3.4620 5.0473
7.2080 7.2080 5.0473
5.6227 3.4620 7.2080
7.2080 5.0473 7.2080
7.0187 9.1794 7.0187
8.6040 10.7647 7.0187
7.0187 7.0187 9.1794
10.7647 10.7647 9.1794
8.6040 7.0187 10.7647
10.7647 9.1794 10.7647
3.4620 7.2080 5.6227
3.4620 5.6227 7.2080
5.0473 7.2080 7.2080
13.3151 11.5817 11.5817
7.0187 10.7647 8.6040
7.0187 8.6040 10.7647
9.1794 10.7647 10.7647
11.5817 13.3151 11.5817
11.5817 11.5817 13.3151
13.3151 13.3151 13.3151


[6]
Mg6NbCO8 | the Materials Project | PBE-GGA | relaxed; spin magnetization = 1.44 μB per cell; energy relative to the elements = -2217.1 meV per atom
1.0
4.1902 0.0000 0.0000
0.0000 4.1902 0.0000
0.0000 0.0000 9.3173
Mg Nb C O
6 1 1 8
Cartesian
0.0000 0.0000 0.0000
0.0000 2.0951 2.2215
0.0000 2.0951 7.0959
2.0951 0.0000 2.2215
2.0951 0.0000 7.0959
2.0951 2.0951 0.0000
0.0000 0.0000 4.6587
2.0951 2.0951 4.6587
0.0000 0.0000 2.3803
0.0000 0.0000 6.9370
0.0000 2.0951 0.0000
0.0000 2.0951 4.6587
2.0951 0.0000 0.0000
2.0951 0.0000 4.6587
2.0951 2.0951 2.0270
2.0951 2.0951 7.2904


[7]
Mg6NbCO8 | the Materials Project | PBE-GGA | relaxed; spin magnetization = 2.33 μB per cell; energy relative to the elements = -2210.7 meV per atom
1.0
4.2235 0.0000 0.0000
0.0000 4.2235 0.0000
0.0000 0.0000 9.3163
Mg Nb C O
6 1 1 8
Cartesian
0.0000 0.0000 0.0000
0.0000 0.0000 4.6582
0.0000 2.1118 2.0928
0.0000 2.1118 7.2236
2.1118 0.0000 2.0928
2.1118 0.0000 7.2236
2.1118 2.1118 4.6582
2.1118 2.1118 0.0000
0.0000 0.0000 2.2657
0.0000 0.0000 7.0506
0.0000 2.1118 0.0000
0.0000 2.1118 4.6582
2.1118 0.0000 0.0000
2.1118 0.0000 4.6582
2.1118 2.1118 2.5572
2.1118 2.1118 6.7591


[8]
Nd4MgSi4C4O22 | the Materials Project | PBE-GGA | relaxed; spin magnetization = 0.00 μB per cell; energy relative to the elements = -2714.0 meV per atom
1.0
10.4227 0.0000 0.0000
0.0000 5.9874 0.0000
-3.2093 0.0000 14.2935
Nd Mg Si C O
8 2 8 8 44
Cartesian
1.8650 0.0989 2.1359
0.2603 2.8948 9.2826
-0.1140 3.5521 13.1644
1.4906 5.4289 6.0176
5.7227 0.5585 8.2759
7.3274 2.4352 1.1291
6.9530 3.0926 5.0109
5.3483 5.8885 12.1577
5.2113 0.0000 0.0000
3.6067 2.9937 7.1468
1.9976 3.0577 4.0511
0.3930 5.9234 11.1979
4.1596 3.0886 1.7843
2.5550 5.8924 8.9311
4.6584 0.0949 5.3625
3.0537 2.8988 12.5092
6.8204 0.0640 3.0956
5.2157 2.9297 10.2424
0.0000 0.0000 0.0000
-1.6047 0.0000 7.1468
0.0000 2.9937 0.0000
-1.6047 2.9937 7.1468
-1.8972 1.3029 11.7476
-0.2926 1.6908 4.6008
7.5059 4.2966 9.6927
9.1106 4.6844 2.5460
-2.6151 0.2929 11.8533
-1.0105 2.7008 4.7065
-0.4464 0.5474 5.1212
-2.0511 2.4462 12.2680
-0.5780 3.7502 7.1955
1.0266 5.2308 0.0488
-0.6532 0.4429 7.7187
0.9515 2.5508 0.5719
-0.7194 1.2006 11.0015
0.8853 1.7931 3.8548
1.3712 4.4813 3.6612
-0.2335 4.4998 10.8079
2.3842 3.2027 5.6165
0.7795 5.7784 12.7633
1.4672 0.4848 10.0796
3.0718 2.5089 2.9328
2.0160 4.4483 8.2848
3.6207 4.5327 1.1380
2.4665 1.0252 7.7135
4.0712 1.9684 0.5667
3.1960 0.1990 4.6900
1.5914 2.7947 11.8368
5.6220 3.1927 2.4568
4.0173 5.7884 9.6036
3.1421 4.0189 13.7268
4.7468 4.9621 6.5801
3.5926 1.4546 13.1555
5.1973 1.5390 6.0087
4.1415 3.4785 11.3608
5.7462 5.5026 4.2140
6.4338 0.2090 1.5303
4.8292 2.7847 8.6770
7.4468 1.4876 3.4856
5.8421 1.5061 10.6324
6.3281 4.1943 10.4388
7.9327 4.7868 3.2920
6.2618 3.4366 13.7216
7.8665 5.5445 6.5749
6.1867 0.7565 14.2448
7.7914 2.2371 7.0980
9.2645 3.5411 2.0256
7.6598 5.4399 9.1723
8.2238 3.2866 9.5870
9.8285 5.6945 2.4402


no.,E_tot (eV/atom)
1,-6.29
2,-5.12
3,-6.87
4,-6.41
5,-6.38
6,-6.16
7,-6.15
8,-7.66